1.
Crystalline MgFe4O4F4 at its relaxed geometry. Source: the Materials Project, functional GGA+U.

Results
The calculation puts the energy above the lowest structure with this stoichiometry at 0.74 eV/f.u. For the corrected total energy (MP2020 scheme), the calculation gives -6.992 eV/atom. The calculation puts the formation energy at -2.151 eV/atom. The calculation puts the calculated total energy at -5.94 eV per atom.

Cell and atoms, written as extended XYZ:
```
13
Lattice="-0.827 7.297 2.769 -0.513 -5.255 -9.062 -3.006 -0.520 0.472" Properties=species:S:1:pos:R:3 pbc="T T T"
F -0.715 4.297 0.180
Fe -0.296 -2.427 -4.564
Fe -0.834 7.091 2.499
O -0.599 -2.505 -6.582
F -2.419 3.161 -1.834
O -2.650 0.407 -6.341
O -0.392 0.481 -1.967
F -1.656 0.919 0.562
F -1.019 2.014 -4.277
Fe -2.031 -0.019 -2.863
Fe -2.461 -1.400 -7.127
O -1.958 -1.559 -4.095
Mg -1.890 -4.194 -6.565
```

***

2.
Crystalline MgFe12O12F12 at its relaxed geometry. Source: the Materials Project, functional GGA+U.

Results
The calculation puts the energy above the lowest structure with this stoichiometry at 0.36 eV/f.u. For the corrected total energy (MP2020 scheme), the calculation gives -7.100 eV/atom. The calculation puts the formation energy at -2.084 eV/atom. The calculation puts the calculated total energy at -6.00 eV per atom.

Cell and atoms, written as extended XYZ:
```
37
Lattice="9.686 -0.040 0.006 -0.063 14.674 0.006 0.002 0.002 3.069" Properties=species:S:1:pos:R:3 pbc="T T T"
F 8.764 5.787 1.521
F 8.572 10.576 1.547
Fe 5.100 0.194 3.053
O 0.973 3.990 1.524
Fe 7.111 7.103 1.507
Fe 9.650 0.255 0.015
Mg 4.653 12.116 1.493
Fe 2.219 2.463 1.532
F 5.757 3.947 1.521
O 5.881 11.342 3.041
O 1.433 6.440 3.054
Fe 4.790 5.020 3.051
Fe 2.418 7.097 1.519
O 8.707 1.100 1.547
Fe 7.270 12.214 1.559
F 3.465 8.146 3.046
Fe -0.027 9.636 3.071
Fe 5.138 9.509 3.033
O 5.973 8.698 1.499
F 1.172 11.359 3.073
F 8.294 8.042 3.043
O 5.659 13.826 1.525
O 3.875 5.778 1.516
O 6.353 6.229 3.042
F 3.846 10.315 1.505
Fe 0.229 4.894 3.058
Fe 7.285 2.358 1.532
F 3.432 3.367 3.059
F 8.171 3.537 3.067
F 1.149 8.813 1.531
O 3.283 12.819 3.054
F 3.880 0.984 1.526
F 8.205 13.247 0.035
O 1.518 1.566 3.067
O 6.287 1.673 3.064
Fe 1.972 12.588 1.529
O 0.751 13.916 1.549
```

***

3.
Crystalline MgFe6O10F2 at its relaxed geometry. Source: the Materials Project, functional GGA+U.

Results
The calculation puts the energy above the lowest structure with this stoichiometry at 0.08 eV/f.u. For the corrected total energy (MP2020 scheme), the calculation gives -7.332 eV/atom. The calculation puts the formation energy at -1.768 eV/atom. The calculation puts the calculated total energy at -6.21 eV per atom.

Cell and atoms, written as extended XYZ:
```
19
Lattice="0.821 1.584 -4.780 2.909 -6.534 -2.406 -5.481 -1.389 -0.608" Properties=species:S:1:pos:R:3 pbc="T T T"
O 1.851 -5.781 -3.964
O -2.730 -4.446 -3.493
O -1.524 -2.388 -5.489
O -2.474 -5.039 -6.371
O -0.632 0.271 -4.589
Fe 3.602 -4.911 -7.102
Fe 0.066 -6.479 -4.728
O -1.202 -6.691 -3.302
O -1.734 -1.686 -2.565
O 1.046 -1.893 -4.275
O -3.787 -0.838 -3.834
Mg -0.038 -0.566 -2.912
F -0.226 -4.033 -2.323
F 0.718 -1.402 -1.329
Fe -0.989 -3.775 -6.755
Fe 1.655 -3.820 -4.357
O 0.127 -4.607 -5.319
Fe -0.088 -1.129 -5.784
Fe -2.737 -2.565 -4.021
```

***

4.
Crystalline MgFe6O10F2 at its relaxed geometry. Source: the Materials Project, functional GGA+U.

Results
The calculation puts the energy above the lowest structure with this stoichiometry at 1.78 eV/f.u. For the corrected total energy (MP2020 scheme), the calculation gives -7.243 eV/atom. The calculation puts the formation energy at -1.678 eV/atom. The calculation puts the calculated total energy at -6.12 eV per atom.

Cell and atoms, written as extended XYZ:
```
19
Lattice="9.751 -4.709 -0.009 4.922 4.797 0.011 0.000 0.007 3.004" Properties=species:S:1:pos:R:3 pbc="T T T"
F 8.928 -3.765 1.527
Fe 9.823 -0.174 0.014
O 8.258 -1.327 0.031
Fe 7.422 -2.257 1.536
O 10.747 -0.957 1.521
Fe 12.192 -2.288 1.527
O 5.487 -1.003 1.541
Mg 4.871 -2.321 0.045
Fe 4.839 0.348 0.042
F 3.172 -1.369 0.039
O 11.502 1.554 0.044
O 9.040 1.232 1.556
O 5.843 3.778 1.548
O 3.880 1.094 1.542
O 13.120 -1.362 0.037
Fe 5.042 4.663 0.044
O 1.557 1.448 0.025
Fe 7.138 2.270 1.551
O 6.465 1.337 0.050
```

***

5.
Crystalline MgFe4O4F4 at its relaxed geometry. Source: the Materials Project, functional GGA+U.

Results
The calculation puts the energy above the lowest structure with this stoichiometry at 0.57 eV/f.u. For the corrected total energy (MP2020 scheme), the calculation gives -7.005 eV/atom. The calculation puts the formation energy at -2.164 eV/atom. The calculation puts the calculated total energy at -5.96 eV per atom.

Cell and atoms, written as extended XYZ:
```
13
Lattice="-3.020 -0.531 -4.243 7.311 -6.009 -2.601 -1.433 -2.311 1.314" Properties=species:S:1:pos:R:3 pbc="T T T"
F 1.399 -3.461 -1.220
Fe -0.618 -2.750 -2.128
Fe 5.856 -8.275 -1.326
O -1.412 -3.271 -0.441
O 5.544 -6.583 -2.162
F 3.127 -7.934 -3.727
F -2.342 -2.266 -3.168
Fe 2.043 -5.193 -0.094
O -0.703 -4.843 -2.468
Fe 3.853 -6.014 -3.039
O 1.974 -6.178 -1.914
F 1.067 -5.218 -4.689
Mg 1.459 -4.475 -2.956
```

***

6.
Crystalline MgFe6O10F2 at its relaxed geometry. Source: the Materials Project, functional GGA+U.

Results
The calculation puts the energy above the lowest structure with this stoichiometry at 1.29 eV/f.u. For the corrected total energy (MP2020 scheme), the calculation gives -7.269 eV/atom. The calculation puts the formation energy at -1.704 eV/atom. The calculation puts the calculated total energy at -6.15 eV per atom.

Cell and atoms, written as extended XYZ:
```
19
Lattice="10.248 -5.840 0.000 4.652 4.862 0.001 0.000 0.000 2.924" Properties=species:S:1:pos:R:3 pbc="T T T"
O 9.052 0.231 1.434
O 1.062 -0.443 1.432
O 13.385 -2.093 2.895
Fe 5.205 -0.651 2.896
Fe 10.144 -5.606 2.894
F 9.236 -4.535 1.432
Fe 7.477 -2.974 1.433
Fe 12.296 -2.812 1.433
O 8.438 -2.150 2.895
Mg 2.540 -0.038 2.896
O 10.838 -1.553 1.434
F 8.025 2.762 2.896
Fe 9.957 -0.672 2.895
O 6.458 0.841 2.896
O 3.986 0.060 1.434
Fe 7.548 1.335 1.434
O 11.407 0.849 2.895
O 11.785 -4.045 2.895
O 5.973 -1.660 1.434
```

***

7.
Crystalline MgFe6O10F2 at its relaxed geometry. Source: the Materials Project, functional GGA+U.

Results
The calculation puts the energy above the lowest structure with this stoichiometry at 0.27 eV/f.u. For the corrected total energy (MP2020 scheme), the calculation gives -7.322 eV/atom. The calculation puts the formation energy at -1.757 eV/atom. The calculation puts the calculated total energy at -6.20 eV per atom.

Cell and atoms, written as extended XYZ:
```
19
Lattice="4.975 -0.425 0.000 -1.293 14.101 0.000 0.000 0.000 3.054" Properties=species:S:1:pos:R:3 pbc="T T T"
O 0.541 10.619 0.000
Fe 2.897 1.764 1.527
Fe 3.648 4.952 0.000
Fe -0.989 13.792 0.000
O 0.426 6.105 0.000
O 1.870 1.056 0.000
Fe 3.981 8.928 0.000
O 2.784 5.579 1.527
O 2.282 12.382 0.000
Mg 0.425 2.477 0.000
O -0.211 12.892 1.527
F 3.089 10.041 1.527
O 3.677 3.001 0.000
Fe 1.326 7.078 1.527
O -0.195 8.435 1.527
O 2.299 7.881 0.000
F 1.317 3.286 1.527
O 4.545 0.711 1.527
Fe 1.300 11.599 1.527
```

***

8.
Crystalline MgFe4O4F4 at its relaxed geometry. Source: the Materials Project, functional GGA+U.

Results
The calculation puts the energy above the lowest structure with this stoichiometry at 0.59 eV/f.u. For the corrected total energy (MP2020 scheme), the calculation gives -7.004 eV/atom. The calculation puts the formation energy at -2.163 eV/atom. The calculation puts the calculated total energy at -5.96 eV per atom.

Cell and atoms, written as extended XYZ:
```
13
Lattice="-4.755 1.949 1.013 -1.375 -2.240 -9.466 -0.955 -2.754 0.794" Properties=species:S:1:pos:R:3 pbc="T T T"
F -4.588 -0.001 0.143
Fe -1.699 -3.735 -3.830
O -2.719 -2.393 -0.149
Fe -3.253 -0.852 -1.193
F -5.262 -3.428 -6.912
O -3.533 -3.346 -4.704
O -4.554 -2.246 -2.055
Mg -3.617 -1.427 -3.930
Fe -3.433 -2.302 -6.613
F -5.408 -0.972 -4.487
Fe -2.394 -4.940 -8.630
F -1.905 -1.762 -2.960
O -2.283 -3.139 -7.999
```